1.
Entry from the Materials Project database: crystalline VZn2IO7 at its relaxed geometry (GGA+U).

abc: 5.346 10.181 5.607
angles: 90.00 101.53 90.00
Positions (direct):
1 V 0.000 0.144 0.000
2 V 0.000 0.856 0.500
3 Zn 0.497 0.061 0.520
4 Zn 0.497 0.939 0.020
5 Zn 0.865 0.365 0.471
6 Zn 0.865 0.635 0.971
7 I 0.438 0.370 0.790
8 I 0.438 0.630 0.290
9 O 0.097 0.235 0.762
10 O 0.097 0.765 0.262
11 O 0.203 0.462 0.568
12 O 0.203 0.538 0.068
13 O 0.272 0.062 0.166
14 O 0.272 0.938 0.666
15 O 0.543 0.258 0.561
16 O 0.543 0.742 0.061
17 O 0.703 0.482 0.742
18 O 0.703 0.518 0.242
19 O 0.751 0.038 0.867
20 O 0.751 0.962 0.367
21 O 0.884 0.252 0.182
22 O 0.884 0.748 0.682

The value obtained for the formation energy from the elements is -1.678 eV per atom. Its total magnetization is 0.000 μB per atom.


2.
Entry from the Materials Project database: crystalline LiCr2O4 at its relaxed geometry (GGA+U).

abc: 4.733 2.980 4.752
angles: 90.00 91.22 90.00
Positions (direct):
1 Li 0.000 0.000 0.000
2 Cr 0.000 0.739 0.500
3 Cr 0.500 0.261 0.000
4 O 0.198 0.248 0.706
5 O 0.302 0.753 0.191
6 O 0.698 0.753 0.809
7 O 0.802 0.248 0.294

The value obtained for the formation energy from the elements is -2.092 eV per atom. The energy above the most stable polymorph in this dataset comes out at 1.16 eV per formula unit. Its total magnetization is 0.714 μB per atom.


3.
Entry from the Materials Project database: crystalline Li9Mn2Co5O16 at its relaxed geometry (GGA+U).

abc: 3.021 9.828 10.125
angles: 77.15 88.23 85.79
Positions (direct):
1 Li 0.000 0.000 0.000
2 Li 0.000 0.499 0.254
3 Li 0.002 0.250 0.626
4 Li 0.012 0.000 0.503
5 Li 0.497 0.249 0.866
6 Li 0.499 0.750 0.626
7 Li 0.502 0.252 0.383
8 Li 0.504 0.750 0.125
9 Li 0.994 0.502 0.744
10 Mn 0.500 0.504 0.998
11 Mn 0.998 0.247 0.126
12 Co 0.003 0.754 0.873
13 Co 0.489 0.997 0.254
14 Co 0.505 0.490 0.504
15 Co 0.507 0.010 0.745
16 Co 0.992 0.748 0.378
17 O 0.024 0.120 0.306
18 O 0.031 0.631 0.052
19 O 0.033 0.624 0.552
20 O 0.035 0.115 0.808
21 O 0.471 0.119 0.077
22 O 0.474 0.632 0.821
23 O 0.478 0.871 0.427
24 O 0.503 0.110 0.580
25 O 0.506 0.391 0.670
26 O 0.510 0.620 0.331
27 O 0.531 0.878 0.918
28 O 0.533 0.376 0.178
29 O 0.958 0.872 0.200
30 O 0.965 0.374 0.944
31 O 0.979 0.879 0.700
32 O 0.985 0.384 0.444

The value obtained for the formation energy from the elements is -1.792 eV per atom. The energy above the most stable polymorph in this dataset comes out at 2.31 eV per formula unit. Its total magnetization is 0.562 μB per atom.


4.
Entry from the Materials Project database: crystalline K5Na3Nb6W2O20 at its relaxed geometry (GGA+U).

abc: 11.580 11.747 17.686
angles: 109.03 109.04 90.23
Positions (direct):
1 K 0.000 0.000 0.000
2 K 0.002 0.492 0.989
3 K 0.130 0.135 0.269
4 K 0.134 0.628 0.770
5 K 0.250 0.765 0.000
6 K 0.256 0.261 0.999
7 K 0.380 0.396 0.763
8 K 0.383 0.901 0.268
9 K 0.386 0.396 0.271
10 K 0.496 0.990 0.990
11 K 0.500 0.496 0.503
12 K 0.509 0.498 0.999
13 K 0.633 0.628 0.763
14 K 0.638 0.132 0.281
15 K 0.643 0.633 0.268
16 K 0.743 0.765 0.995
17 K 0.752 0.263 0.991
18 K 0.878 0.403 0.759
19 K 0.881 0.905 0.274
20 K 0.889 0.903 0.765
21 Na 0.000 0.974 0.487
22 Na 0.145 0.633 0.290
23 Na 0.150 0.126 0.777
24 Na 0.243 0.263 0.491
25 Na 0.253 0.773 0.487
26 Na 0.393 0.916 0.778
27 Na 0.493 0.977 0.483
28 Na 0.644 0.127 0.779
29 Na 0.742 0.762 0.482
30 Na 0.746 0.264 0.492
31 Na 0.896 0.413 0.289
32 Na 0.996 0.482 0.488
33 Nb 0.055 0.768 0.136
34 Nb 0.068 0.265 0.628
35 Nb 0.069 0.296 0.135
36 Nb 0.107 0.773 0.629
37 Nb 0.190 0.449 0.388
38 Nb 0.190 0.949 0.386
39 Nb 0.307 0.627 0.632
40 Nb 0.329 0.598 0.133
41 Nb 0.338 0.103 0.133
42 Nb 0.356 0.108 0.629
43 Nb 0.438 0.699 0.383
44 Nb 0.440 0.199 0.387
45 Nb 0.565 0.260 0.630
46 Nb 0.581 0.795 0.629
47 Nb 0.583 0.809 0.135
48 Nb 0.606 0.277 0.137
49 Nb 0.691 0.447 0.387
50 Nb 0.799 0.118 0.136
51 Nb 0.842 0.622 0.626
52 Nb 0.855 0.612 0.136
53 Nb 0.857 0.112 0.629
54 Nb 0.941 0.200 0.389
55 Nb 0.943 0.197 0.879
56 Nb 0.943 0.696 0.387
57 W 0.190 0.444 0.879
58 W 0.191 0.945 0.878
59 W 0.438 0.695 0.878
60 W 0.443 0.196 0.879
61 W 0.690 0.947 0.879
62 W 0.692 0.446 0.879
63 W 0.695 0.951 0.392
64 W 0.940 0.700 0.882
65 O 0.001 0.300 0.527
66 O 0.006 0.622 0.619
67 O 0.007 0.277 0.013
68 O 0.016 0.781 0.520
69 O 0.031 0.099 0.630
70 O 0.034 0.606 0.149
71 O 0.062 0.314 0.872
72 O 0.062 0.324 0.384
73 O 0.064 0.823 0.879
74 O 0.067 0.078 0.881
75 O 0.068 0.574 0.886
76 O 0.069 0.821 0.382
77 O 0.070 0.578 0.394
78 O 0.071 0.080 0.397
79 O 0.106 0.896 0.245
80 O 0.113 0.386 0.738
81 O 0.122 0.402 0.255
82 O 0.123 0.882 0.740
83 O 0.213 0.217 0.139
84 O 0.220 0.722 0.136
85 O 0.231 0.226 0.617
86 O 0.245 0.497 0.525
87 O 0.257 0.497 0.015
88 O 0.259 0.011 0.014
89 O 0.268 0.991 0.518
90 O 0.278 0.797 0.630
91 O 0.308 0.816 0.374
92 O 0.310 0.314 0.871
93 O 0.311 0.816 0.869
94 O 0.312 0.323 0.386
95 O 0.314 0.074 0.389
96 O 0.316 0.070 0.879
97 O 0.318 0.581 0.396
98 O 0.320 0.573 0.888
99 O 0.355 0.607 0.739
100 O 0.372 0.615 0.253
101 O 0.376 0.115 0.742
102 O 0.380 0.133 0.258
103 O 0.475 0.671 0.632
104 O 0.481 0.661 0.134
105 O 0.485 0.287 0.528
106 O 0.492 0.794 0.517
107 O 0.501 0.140 0.137
108 O 0.507 0.775 0.014
109 O 0.522 0.269 0.021
110 O 0.529 0.092 0.629
111 O 0.556 0.815 0.864
112 O 0.561 0.816 0.384
113 O 0.566 0.322 0.387
114 O 0.567 0.087 0.405
115 O 0.567 0.317 0.873
116 O 0.568 0.073 0.880
117 O 0.569 0.573 0.885
118 O 0.572 0.577 0.393
119 O 0.611 0.386 0.738
120 O 0.621 0.897 0.254
121 O 0.623 0.387 0.251
122 O 0.629 0.906 0.743
123 O 0.722 0.715 0.138
124 O 0.729 0.226 0.618
125 O 0.742 0.756 0.615
126 O 0.748 0.013 0.018
127 O 0.756 0.495 0.522
128 O 0.772 0.983 0.528
129 O 0.779 0.509 0.019
130 O 0.780 0.295 0.148
131 O 0.813 0.823 0.876
132 O 0.814 0.314 0.869
133 O 0.815 0.328 0.385
134 O 0.817 0.573 0.882
135 O 0.821 0.078 0.883
136 O 0.823 0.575 0.393
137 O 0.823 0.815 0.383
138 O 0.830 0.088 0.403
139 O 0.866 0.129 0.256
140 O 0.874 0.630 0.742
141 O 0.880 0.121 0.743
142 O 0.885 0.614 0.252
143 O 0.966 0.169 0.135
144 O 0.999 0.777 0.024

The value obtained for the formation energy from the elements is -2.376 eV per atom. Its total magnetization is 0.121 μB per atom.


5.
Entry from the Materials Project database: crystalline Li3Co2Si2O8 at its relaxed geometry (GGA+U).

abc: 5.328 5.328 6.307
angles: 90.94 90.94 90.42
Positions (direct):
1 Li 0.000 0.000 0.000
2 Li 0.136 0.510 0.736
3 Li 0.490 0.864 0.264
4 Co 0.634 0.366 0.000
5 Co 0.975 0.025 0.500
6 Si 0.131 0.516 0.245
7 Si 0.484 0.869 0.755
8 O 0.040 0.382 0.459
9 O 0.095 0.823 0.251
10 O 0.177 0.905 0.749
11 O 0.440 0.485 0.217
12 O 0.515 0.560 0.783
13 O 0.609 0.009 0.974
14 O 0.618 0.960 0.541
15 O 0.991 0.391 0.026

The value obtained for the formation energy from the elements is -2.402 eV per atom. The energy above the most stable polymorph in this dataset comes out at 0.12 eV per formula unit. Its total magnetization is 0.467 μB per atom.


Q: Among the records above, which one has the highest formation energy from the elements?
A: VZn2IO7